# CsP2H5O8 PBE optimized geometry
data_CsP2H5O8
_chemical_formula_sum 'Cs2 P4 H10 O16'
_space_group_name_H-M_alt 'P -1'
_space_group_IT_number 2
_cell_length_a 6.9916
_cell_length_b 8.0079
_cell_length_c 8.1843
_cell_angle_alpha 76.17
_cell_angle_beta 69.49
_cell_angle_gamma 86.99
loop_
_space_group_symop_operation_xyz
'x,y,z'
'-x,-y,-z'
loop_
_atom_site_label
_atom_site_fract_x
_atom_site_fract_y
_atom_site_fract_z
Cs1 0.1042 0.2955 0.1658
P1 0.2054 0.2433 0.6684
P2 0.3842 0.8263 0.2958
H1 0.1853 0.7713 0.1543
H2 0.2446 0.0367 0.5183
H3 0.2796 0.5493 0.4668
H4 0.4106 0.6813 0.8770
H5 0.4166 0.6277 0.7071
O1 0.0202 0.2952 0.8079
O2 0.1633 0.0624 0.6426
O3 0.2637 0.6840 0.4632
O4 0.2954 0.3701 0.4877
O5 0.3379 0.8092 0.1265
O6 0.3404 0.6067 0.8360
O7 0.3476 0.0003 0.3375
O8 0.3770 0.2145 0.7663
# energy relative to the lowest polymorph listed for this composition = 34 meV per atom

# Zn3CuP2O9 PBE optimized geometry
data_Zn3CuP2O9
_chemical_formula_sum 'Zn12 Cu4 P8 O36'
_space_group_name_H-M_alt 'C 1 2/m 1'
_space_group_IT_number 12
_cell_length_a 9.9163
_cell_length_b 8.1218
_cell_length_c 9.9101
_cell_angle_alpha 90.00
_cell_angle_beta 119.75
_cell_angle_gamma 90.00
loop_
_space_group_symop_operation_xyz
'x,y,z'
'-x,-y,-z'
'-x,y,-z'
'x,-y,z'
'x+1/2,y+1/2,z'
'-x+1/2,-y+1/2,-z'
'-x+1/2,y+1/2,-z'
'x+1/2,-y+1/2,z'
loop_
_atom_site_label
_atom_site_fract_x
_atom_site_fract_y
_atom_site_fract_z
Zn1 0.0093 0.1961 0.3324
Zn2 0.1558 0.5000 0.6123
Cu1 0.0000 0.3093 0.0000
P1 0.2028 0.0000 0.0007
P2 0.2388 0.5000 0.3571
O1 0.0000 0.3223 0.5000
O2 0.1029 0.1564 0.9158
O3 0.1207 0.0000 0.6705
O4 0.1434 0.5000 0.0089
O5 0.1448 0.3419 0.2893
O6 0.1881 0.0000 0.4579
O7 0.2370 0.0000 0.1679
# uncorrected energy = -5.92 eV per atom

# Ba5Bi14O21 PBE optimized geometry
data_Ba5Bi14O21
_chemical_formula_sum 'Ba5 Bi14 O21'
_space_group_name_H-M_alt 'P 1'
_space_group_IT_number 1
_cell_length_a 3.6413
_cell_length_b 3.6674
_cell_length_c 59.5628
_cell_angle_alpha 88.61
_cell_angle_beta 88.47
_cell_angle_gamma 87.44
loop_
_space_group_symop_operation_xyz
'x,y,z'
loop_
_atom_site_label
_atom_site_fract_x
_atom_site_fract_y
_atom_site_fract_z
Ba1 0.0000 0.0000 0.0000
Ba2 0.0348 0.0358 0.8979
Ba3 0.3451 0.3505 0.2835
Ba4 0.8330 0.8364 0.3412
Ba5 0.9546 0.9524 0.1124
Bi1 0.0905 0.1058 0.7962
Bi2 0.2165 0.2311 0.7024
Bi3 0.2236 0.2558 0.5912
Bi4 0.2612 0.2784 0.4950
Bi5 0.3191 0.3200 0.3928
Bi6 0.4222 0.4235 0.1837
Bi7 0.4707 0.4434 0.0538
Bi8 0.5068 0.5085 0.9495
Bi9 0.5587 0.5600 0.8453
Bi10 0.6552 0.6306 0.6467
Bi11 0.6551 0.6416 0.5353
Bi12 0.6984 0.6595 0.7423
Bi13 0.8143 0.8154 0.4442
Bi14 0.8541 0.8634 0.2338
O1 0.0725 0.0706 0.9502
O2 0.0842 0.1203 0.7602
O3 0.1833 0.2690 0.6428
O4 0.2436 0.2890 0.5555
O5 0.2831 0.2916 0.4290
O6 0.3366 0.3390 0.3277
O7 0.4271 0.4199 0.2337
O8 0.4484 0.4321 0.0881
O9 0.4706 0.4697 0.1303
O10 0.5024 0.5020 0.9906
O11 0.5263 0.5282 0.9111
O12 0.6215 0.6246 0.1510
O13 0.6323 0.5954 0.6822
O14 0.6780 0.6781 0.8001
O15 0.6957 0.6184 0.5945
O16 0.7233 0.7120 0.4805
O17 0.8262 0.8319 0.1921
O18 0.8434 0.9230 0.0486
O19 0.8470 0.8522 0.2726
O20 0.8828 0.8944 0.3882
O21 0.9970 0.9968 0.8488
# uncorrected energy = -5.38 eV per atom

# YBi12O20 PBE optimized geometry
data_YBi12O20
_chemical_formula_sum 'Y2 Bi24 O40'
_space_group_name_H-M_alt 'I 2 3'
_space_group_IT_number 197
_space_group_name_Hall 'I 2 2 3'
_cell_length_a 10.3587
_cell_length_b 10.3587
_cell_length_c 10.3587
_cell_angle_alpha 90.00
_cell_angle_beta 90.00
_cell_angle_gamma 90.00
loop_
_atom_site_label
_atom_site_fract_x
_atom_site_fract_y
_atom_site_fract_z
Y1 0.0000 0.0000 0.0000
Bi1 0.0069 0.1760 0.3182
O1 0.0092 0.3690 0.7445
O2 0.1221 0.1221 0.8779
O3 0.1759 0.1759 0.1759
# uncorrected energy = -5.94 eV per atom

# Fe4C PBE optimized geometry
data_Fe4C
_chemical_formula_sum 'Fe4 C1'
_space_group_name_H-M_alt 'P -4 3 m'
_space_group_IT_number 215
_space_group_name_Hall 'P -4 2 3'
_cell_length_a 3.8415
_cell_length_b 3.8415
_cell_length_c 3.8415
_cell_angle_alpha 90.00
_cell_angle_beta 90.00
_cell_angle_gamma 90.00
loop_
_atom_site_label
_atom_site_fract_x
_atom_site_fract_y
_atom_site_fract_z
Fe1 0.2308 0.2308 0.7692
C1 0.5000 0.5000 0.5000
# energy relative to the lowest polymorph listed for this composition = 383 meV per atom

# Li2CdGe PBE optimized geometry
data_Li2CdGe
_chemical_formula_sum 'Li8 Cd4 Ge4'
_space_group_name_H-M_alt 'F m -3 m'
_space_group_IT_number 225
_space_group_name_Hall '-F 4 2 3'
_cell_length_a 6.4517
_cell_length_b 6.4517
_cell_length_c 6.4517
_cell_angle_alpha 90.00
_cell_angle_beta 90.00
_cell_angle_gamma 90.00
loop_
_atom_site_label
_atom_site_fract_x
_atom_site_fract_y
_atom_site_fract_z
Li1 0.2500 0.2500 0.2500
Cd1 0.0000 0.0000 0.0000
Ge1 0.0000 0.0000 0.5000
# uncorrected energy = -2.60 eV per atom

Number 4 is which compound?
YBi12O20